Entry 1:
# Mn5O3F5 | the Materials Project | GGA+U | optimized geometry
# MP2020-corrected energy = -7.87 eV per atom
# E above lowest polymorph = 0.011 eV per atom
# Total DFT energy (no corrections) = -6.892 eV per atom
data_Mn5O3F5
_chemical_formula_sum 'Mn10 O6 F10'
_cell_length_a 10.9781
_cell_length_b 6.2999
_cell_length_c 6.1923
_cell_angle_alpha 90.00
_cell_angle_beta 122.45
_cell_angle_gamma 90.00
_space_group_name_H-M_alt 'C 1 m 1'
_space_group_IT_number 8
loop_
_space_group_symop_operation_xyz
'x,y,z'
'x,-y,z'
'x+1/2,y+1/2,z'
'x+1/2,-y+1/2,z'
loop_
_atom_site_label
_atom_site_fract_x
_atom_site_fract_y
_atom_site_fract_z
_atom_site_occupancy
Mn1 0.0000 0.0000 0.0000 1
Mn2 0.1119 0.2607 0.6457 1
Mn3 0.2155 0.5000 0.2412 1
Mn4 0.3631 0.0000 0.1343 1
O1 0.0943 0.5000 0.3986 1
O2 0.1208 0.5000 0.8657 1
O3 0.1315 0.0000 0.8644 1
F1 0.1027 0.0000 0.3988 1
F2 0.3597 0.2497 0.8876 1
F3 0.3672 0.2555 0.3771 1


Entry 2:
# Li6Co3NiP6O24 | the Materials Project | GGA+U | optimized geometry
# MP2020-corrected energy = -7.02 eV per atom
# Total DFT energy (no corrections) = -6.423 eV per atom
data_Li6Co3NiP6O24
_chemical_formula_sum 'Li6 Co3 Ni1 P6 O24'
_cell_length_a 8.4129
_cell_length_b 8.4770
_cell_length_c 8.5054
_cell_angle_alpha 62.45
_cell_angle_beta 62.59
_cell_angle_gamma 62.81
_space_group_name_H-M_alt 'P 1'
_space_group_IT_number 1
loop_
_space_group_symop_operation_xyz
'x,y,z'
loop_
_atom_site_label
_atom_site_fract_x
_atom_site_fract_y
_atom_site_fract_z
_atom_site_occupancy
Li1 0.0000 0.0000 0.0000 1
Li2 0.0874 0.8828 0.5103 1
Li3 0.1795 0.3902 0.4233 1
Li4 0.3636 0.7389 0.1497 1
Li5 0.6065 0.5740 0.8162 1
Li6 0.8155 0.2402 0.6547 1
Co1 0.1923 0.5843 0.0124 1
Co2 0.4862 0.8777 0.2996 1
Co3 0.6975 0.0930 0.5131 1
Ni1 0.9843 0.3780 0.8058 1
P1 0.0914 0.1822 0.2055 1
P2 0.2982 0.9808 0.6991 1
P3 0.3913 0.4833 0.6094 1
P4 0.5897 0.2739 0.1178 1
P5 0.7883 0.7818 0.9091 1
P6 0.8846 0.6925 0.4102 1
O1 0.0326 0.2057 0.0496 1
O2 0.0767 0.6631 0.2498 1
O3 0.1101 0.1445 0.7190 1
O4 0.1554 0.3439 0.1698 1
O5 0.2291 0.4278 0.6327 1
O6 0.2471 0.9872 0.2335 1
O7 0.2771 0.8234 0.8942 1
O8 0.3123 0.9266 0.5419 1
O9 0.3563 0.5423 0.7736 1
O10 0.3911 0.6539 0.4250 1
O11 0.4329 0.4692 0.0955 1
O12 0.4720 0.0279 0.6554 1
O13 0.5270 0.1144 0.1502 1
O14 0.5823 0.3284 0.5901 1
O15 0.5979 0.8033 0.0681 1
O16 0.6495 0.2371 0.2793 1
O17 0.7121 0.7424 0.3570 1
O18 0.7493 0.2891 0.9256 1
O19 0.7917 0.9676 0.7425 1
O20 0.8111 0.6227 0.8530 1
O21 0.8724 0.8504 0.4621 1
O22 0.8944 0.5012 0.5696 1
O23 0.9366 0.1638 0.4014 1
O24 0.9531 0.7428 0.9730 1